DFT (PBE+U) results for crystalline BaNi2As2O8 at its relaxed geometry.

Cell: 5.025 8.557 8.703 Å, 109.82 90.00 90.00°
Fractional positions:
As1 0.500 0.717 0.072
As2 0.000 0.717 0.572
As3 0.000 0.283 0.428
As4 0.500 0.283 0.928
O1 0.000 0.073 0.358
O2 0.331 0.349 0.454
O3 0.169 0.651 0.046
O4 0.842 0.349 0.282
O5 0.172 0.651 0.387
O6 0.328 0.349 0.113
O7 0.828 0.349 0.613
O8 0.342 0.349 0.782
O9 0.658 0.651 0.218
O10 0.158 0.651 0.718
O11 0.500 0.927 0.142
O12 0.500 0.073 0.858
O13 0.672 0.651 0.887
O14 0.669 0.651 0.546
O15 0.831 0.349 0.954
O16 0.000 0.927 0.642
Ni1 0.500 0.494 0.331
Ni2 0.500 0.506 0.669
Ni3 0.000 0.506 0.169
Ni4 0.000 0.494 0.831
Ba1 0.000 0.000 0.000
Ba2 0.500 0.000 0.500

Corrected total energy (MP2020 scheme) = -175.60 eV per cell
Size of the total moment = 0.00 μB/cell
Formation energy = -45.09 kcal/mol of atoms

***

DFT (PBE+U) results for crystalline Li9Mn2Co5O16 at its relaxed geometry.

Cell: 5.103 5.889 9.719 Å, 88.48 78.89 89.41°
Fractional positions:
Li1 0.000 0.000 0.000
Li2 0.000 0.250 0.498
Li3 0.000 0.750 0.502
Li4 0.245 0.999 0.245
Li5 0.247 0.492 0.244
Li6 0.492 0.761 0.002
Li7 0.508 0.239 0.998
Li8 0.753 0.508 0.756
Li9 0.755 0.001 0.755
Mn1 0.000 0.500 0.000
Mn2 0.500 0.000 0.500
Co1 0.248 0.245 0.758
Co2 0.249 0.758 0.755
Co3 0.500 0.500 0.500
Co4 0.751 0.242 0.245
Co5 0.752 0.755 0.242
O1 0.094 0.262 0.126
O2 0.110 0.728 0.121
O3 0.150 0.006 0.623
O4 0.162 0.494 0.626
O5 0.351 0.500 0.880
O6 0.377 0.013 0.863
O7 0.389 0.753 0.392
O8 0.393 0.230 0.374
O9 0.607 0.770 0.626
O10 0.611 0.247 0.608
O11 0.623 0.987 0.137
O12 0.649 0.500 0.120
O13 0.838 0.506 0.374
O14 0.850 0.994 0.377
O15 0.890 0.272 0.879
O16 0.906 0.738 0.874

Corrected total energy (MP2020 scheme) = -208.76 eV per cell
Relative energy among the computed polymorphs = 0.035 eV per atom
Size of the total moment = 12.00 μB/cell
Formation energy = -42.19 kcal/mol of atoms

***

DFT (PBE+U) results for crystalline Li9Mn2Co5O16 at its relaxed geometry.

Cell: 5.006 5.905 10.217 Å, 89.74 80.57 73.96°
Fractional positions:
Li1 0.000 0.000 0.000
Li2 0.000 0.000 0.500
Li3 0.000 0.500 0.000
Li4 0.004 0.243 0.235
Li5 0.487 0.632 0.883
Li6 0.490 0.127 0.370
Li7 0.510 0.873 0.630
Li8 0.513 0.368 0.117
Li9 0.996 0.757 0.765
Mn1 0.499 0.378 0.625
Mn2 0.501 0.622 0.375
Co1 0.000 0.500 0.500
Co2 0.010 0.750 0.241
Co3 0.492 0.114 0.878
Co4 0.508 0.886 0.122
Co5 0.990 0.250 0.759
O1 0.242 0.221 0.567
O2 0.246 0.453 0.329
O3 0.248 0.693 0.079
O4 0.258 0.957 0.807
O5 0.261 0.662 0.553
O6 0.262 0.910 0.321
O7 0.266 0.434 0.796
O8 0.268 0.179 0.059
O9 0.732 0.821 0.941
O10 0.734 0.566 0.204
O11 0.738 0.090 0.679
O12 0.739 0.338 0.447
O13 0.742 0.043 0.193
O14 0.752 0.307 0.921
O15 0.754 0.547 0.671
O16 0.758 0.779 0.433

Corrected total energy (MP2020 scheme) = -208.30 eV per cell
Relative energy among the computed polymorphs = 0.049 eV per atom
Size of the total moment = 10.00 μB/cell
Formation energy = -41.86 kcal/mol of atoms

***

DFT (PBE+U) results for crystalline Sr2Fe2O5 at its relaxed geometry.

Cell: 5.613 11.593 15.665 Å, 90.00 90.00 90.00°
Fractional positions:
Sr1 0.006 0.009 0.109
Sr2 0.006 0.009 0.391
Sr3 0.006 0.491 0.609
Sr4 0.006 0.491 0.891
Sr5 0.493 0.241 0.109
Sr6 0.493 0.241 0.391
Sr7 0.493 0.259 0.609
Sr8 0.493 0.259 0.891
Sr9 0.507 0.741 0.109
Sr10 0.507 0.741 0.391
Sr11 0.507 0.759 0.609
Sr12 0.507 0.759 0.891
Sr13 0.994 0.509 0.109
Sr14 0.994 0.509 0.391
Sr15 0.994 0.991 0.609
Sr16 0.994 0.991 0.891
Fe1 0.001 0.750 0.000
Fe2 0.001 0.750 0.500
Fe3 0.044 0.716 0.750
Fe4 0.044 0.784 0.250
Fe5 0.457 0.035 0.750
Fe6 0.457 0.465 0.250
Fe7 0.500 0.000 0.000
Fe8 0.500 0.000 0.500
Fe9 0.500 0.500 0.000
Fe10 0.500 0.500 0.500
Fe11 0.543 0.535 0.750
Fe12 0.543 0.965 0.250
Fe13 0.956 0.216 0.750
Fe14 0.956 0.284 0.250
Fe15 0.999 0.250 0.000
Fe16 0.999 0.250 0.500
O1 0.010 0.222 0.140
O2 0.010 0.222 0.360
O3 0.010 0.278 0.640
O4 0.010 0.278 0.860
O5 0.116 0.068 0.750
O6 0.116 0.432 0.250
O7 0.249 0.124 0.511
O8 0.249 0.124 0.989
O9 0.249 0.376 0.011
O10 0.249 0.376 0.489
O11 0.251 0.625 0.508
O12 0.251 0.625 0.992
O13 0.251 0.875 0.008
O14 0.251 0.875 0.492
O15 0.386 0.683 0.750
O16 0.386 0.817 0.250
O17 0.485 0.027 0.140
O18 0.485 0.027 0.360
O19 0.485 0.473 0.640
O20 0.485 0.473 0.860
O21 0.515 0.527 0.140
O22 0.515 0.527 0.360
O23 0.515 0.973 0.640
O24 0.515 0.973 0.860
O25 0.614 0.183 0.750
O26 0.614 0.317 0.250
O27 0.749 0.125 0.508
O28 0.749 0.125 0.992
O29 0.749 0.375 0.008
O30 0.749 0.375 0.492
O31 0.751 0.624 0.511
O32 0.751 0.624 0.989
O33 0.751 0.876 0.011
O34 0.751 0.876 0.489
O35 0.884 0.568 0.750
O36 0.884 0.932 0.250
O37 0.990 0.722 0.140
O38 0.990 0.722 0.360
O39 0.990 0.778 0.640
O40 0.990 0.778 0.860

Corrected total energy (MP2020 scheme) = -531.27 eV per cell
Relative energy among the computed polymorphs = 0.000 eV per atom
Size of the total moment = 75.28 μB/cell
Formation energy = -54.71 kcal/mol of atoms

***

DFT (PBE+U) results for crystalline Li9Mn7O16 at its relaxed geometry.

Cell: 5.845 2.871 17.745 Å, 90.00 90.74 90.00°
Fractional positions:
Li1 0.000 0.000 0.000
Li2 0.000 0.000 0.500
Li3 0.250 0.500 0.376
Li4 0.256 0.500 0.886
Li5 0.499 0.000 0.757
Li6 0.500 0.000 0.000
Li7 0.501 0.000 0.243
Li8 0.744 0.500 0.114
Li9 0.750 0.500 0.624
Mn1 0.002 0.000 0.243
Mn2 0.248 0.500 0.628
Mn3 0.255 0.500 0.114
Mn4 0.500 0.000 0.500
Mn5 0.745 0.500 0.886
Mn6 0.752 0.500 0.372
Mn7 0.998 0.000 0.757
O1 0.019 0.000 0.625
O2 0.026 0.000 0.120
O3 0.225 0.500 0.755
O4 0.231 0.500 0.239
O5 0.253 0.500 0.012
O6 0.272 0.500 0.498
O7 0.475 0.000 0.124
O8 0.478 0.000 0.629
O9 0.522 0.000 0.371
O10 0.525 0.000 0.876
O11 0.728 0.500 0.502
O12 0.747 0.500 0.988
O13 0.769 0.500 0.761
O14 0.775 0.500 0.245
O15 0.974 0.000 0.880
O16 0.981 0.000 0.375

Corrected total energy (MP2020 scheme) = -228.55 eV per cell
Relative energy among the computed polymorphs = 0.017 eV per atom
Size of the total moment = 26.00 μB/cell
Formation energy = -49.05 kcal/mol of atoms

***

DFT (PBE+U) results for crystalline Rb5Fe3S6O30 at its relaxed geometry.

Cell: 12.819 16.324 18.842 Å, 90.00 129.07 90.00°
Fractional positions:
Rb1 0.211 0.069 0.372
Rb2 0.211 0.431 0.872
Rb3 0.213 0.065 0.872
Rb4 0.213 0.435 0.372
Rb5 0.233 0.748 0.976
Rb6 0.233 0.752 0.476
Rb7 0.251 0.607 0.188
Rb8 0.251 0.893 0.688
Rb9 0.268 0.596 0.692
Rb10 0.268 0.904 0.192
Rb11 0.732 0.096 0.808
Rb12 0.732 0.404 0.308
Rb13 0.749 0.107 0.312
Rb14 0.749 0.393 0.812
Rb15 0.767 0.248 0.524
Rb16 0.767 0.252 0.024
Rb17 0.787 0.565 0.628
Rb18 0.787 0.935 0.128
Rb19 0.789 0.569 0.128
Rb20 0.789 0.931 0.628
Fe1 0.211 0.250 0.227
Fe2 0.211 0.250 0.727
Fe3 0.261 0.147 0.593
Fe4 0.261 0.353 0.093
Fe5 0.263 0.142 0.097
Fe6 0.263 0.358 0.597
Fe7 0.737 0.642 0.403
Fe8 0.737 0.858 0.903
Fe9 0.739 0.647 0.907
Fe10 0.739 0.853 0.407
Fe11 0.789 0.750 0.273
Fe12 0.789 0.750 0.773
S1 0.026 0.086 0.108
S2 0.026 0.414 0.608
S3 0.031 0.088 0.610
S4 0.031 0.412 0.110
S5 0.033 0.249 0.915
S6 0.033 0.251 0.415
S7 0.446 0.107 0.318
S8 0.446 0.393 0.818
S9 0.448 0.107 0.809
S10 0.448 0.393 0.309
S11 0.472 0.242 0.087
S12 0.472 0.258 0.587
S13 0.528 0.742 0.413
S14 0.528 0.758 0.913
S15 0.552 0.607 0.691
S16 0.552 0.893 0.191
S17 0.554 0.607 0.182
S18 0.554 0.893 0.682
S19 0.967 0.749 0.585
S20 0.967 0.751 0.085
S21 0.969 0.588 0.890
S22 0.969 0.912 0.390
S23 0.974 0.586 0.392
S24 0.974 0.914 0.892
O1 0.023 0.749 0.181
O2 0.023 0.751 0.681
O3 0.035 0.023 0.666
O4 0.035 0.477 0.166
O5 0.051 0.170 0.655
O6 0.051 0.330 0.155
O7 0.063 0.164 0.162
O8 0.063 0.336 0.662
O9 0.066 0.016 0.169
O10 0.066 0.484 0.669
O11 0.070 0.731 0.575
O12 0.070 0.769 0.075
O13 0.094 0.593 0.983
O14 0.094 0.907 0.483
O15 0.097 0.169 0.459
O16 0.097 0.331 0.959
O17 0.101 0.085 0.070
O18 0.101 0.415 0.570
O19 0.118 0.589 0.469
O20 0.118 0.911 0.969
O21 0.143 0.184 0.964
O22 0.143 0.316 0.464
O23 0.150 0.075 0.612
O24 0.150 0.425 0.112
O25 0.185 0.245 0.821
O26 0.185 0.255 0.321
O27 0.215 0.646 0.334
O28 0.215 0.854 0.834
O29 0.228 0.637 0.841
O30 0.228 0.863 0.341
O31 0.243 0.246 0.137
O32 0.243 0.254 0.637
O33 0.281 0.038 0.550
O34 0.281 0.462 0.050
O35 0.290 0.050 0.053
O36 0.290 0.450 0.553
O37 0.339 0.156 0.799
O38 0.339 0.344 0.299
O39 0.354 0.167 0.316
O40 0.354 0.333 0.816
O41 0.376 0.081 0.221
O42 0.376 0.419 0.721
O43 0.382 0.185 0.561
O44 0.382 0.315 0.061
O45 0.384 0.734 0.839
O46 0.384 0.766 0.339
O47 0.420 0.639 0.618
O48 0.420 0.861 0.118
O49 0.425 0.646 0.142
O50 0.425 0.854 0.642
O51 0.428 0.021 0.822
O52 0.428 0.479 0.322
O53 0.429 0.116 0.721
O54 0.429 0.384 0.221
O55 0.442 0.180 0.133
O56 0.442 0.320 0.633
O57 0.449 0.207 0.007
O58 0.449 0.293 0.507
O59 0.455 0.034 0.368
O60 0.455 0.466 0.868
O61 0.545 0.534 0.132
O62 0.545 0.966 0.632
O63 0.551 0.707 0.493
O64 0.551 0.793 0.993
O65 0.558 0.680 0.367
O66 0.558 0.820 0.867
O67 0.571 0.616 0.779
O68 0.571 0.884 0.279
O69 0.572 0.521 0.678
O70 0.572 0.979 0.178
O71 0.575 0.146 0.358
O72 0.575 0.354 0.858
O73 0.580 0.139 0.882
O74 0.580 0.361 0.382
O75 0.616 0.234 0.661
O76 0.616 0.266 0.161
O77 0.618 0.685 0.939
O78 0.618 0.815 0.439
O79 0.624 0.581 0.279
O80 0.624 0.919 0.779
O81 0.646 0.667 0.184
O82 0.646 0.833 0.684
O83 0.661 0.656 0.701
O84 0.661 0.844 0.201
O85 0.710 0.550 0.447
O86 0.710 0.950 0.947
O87 0.719 0.538 0.950
O88 0.719 0.962 0.450
O89 0.757 0.746 0.363
O90 0.757 0.754 0.863
O91 0.772 0.137 0.659
O92 0.772 0.363 0.159
O93 0.785 0.146 0.166
O94 0.785 0.354 0.666
O95 0.815 0.745 0.679
O96 0.815 0.755 0.179
O97 0.850 0.575 0.888
O98 0.850 0.925 0.388
O99 0.857 0.684 0.536
O100 0.857 0.816 0.036
O101 0.882 0.089 0.031
O102 0.882 0.411 0.531
O103 0.899 0.585 0.430
O104 0.899 0.915 0.930
O105 0.903 0.669 0.041
O106 0.903 0.831 0.541
O107 0.906 0.093 0.517
O108 0.906 0.407 0.017
O109 0.930 0.231 0.925
O110 0.930 0.269 0.425
O111 0.934 0.516 0.331
O112 0.934 0.984 0.831
O113 0.937 0.664 0.338
O114 0.937 0.836 0.838
O115 0.949 0.670 0.845
O116 0.949 0.830 0.345
O117 0.965 0.523 0.834
O118 0.965 0.977 0.334
O119 0.977 0.249 0.319
O120 0.977 0.251 0.819

Corrected total energy (MP2020 scheme) = -1091.62 eV per cell
Size of the total moment = 90.45 μB/cell
Formation energy = -36.34 kcal/mol of atoms

***

Q: Number 6 is which compound?
A: Rb5Fe3S6O30